{"formula": "Li5V3P8O29", "functional": "GGA+U", "state": "optimized geometry", "e_form_ev_per_atom": -2.616, "vol_a3_per_atom": 12.90, "polymorph_energy_ev_per_atom": 0.005, "cell": [[9.806, 0.000, 0.000], [4.894, 8.504, 0.000], [0.026, 0.031, 13.922]], "species": ["Li", "Li", "Li", "Li", "Li", "Li", "Li", "Li", "Li", "Li", "V", "V", "V", "V", "V", "V", "P", "P", "P", "P", "P", "P", "P", "P", "P", "P", "P", "P", "P", "P", "P", "P", "O", "O", "O", "O", "O", "O", "O", "O", "O", "O", "O", "O", "O", "O", "O", "O", "O", "O", "O", "O", "O", "O", "O", "O", "O", "O", "O", "O", "O", "O", "O", "O", "O", "O", "O", "O", "O", "O", "O", "O", "O", "O", "O", "O", "O", "O", "O", "O", "O", "O", "O", "O", "O", "O", "O", "O", "O", "O"], "frac_coords": [[0.000, 0.000, 0.000], [0.003, 0.450, 0.500], [0.131, 0.857, 0.500], [0.142, 0.444, 0.999], [0.231, 0.677, 0.120], [0.245, 0.104, 0.676], [0.589, 0.867, 0.002], [0.596, 0.998, 0.498], [0.683, 0.674, 0.620], [0.816, 0.544, 0.121], [0.341, 0.771, 0.313], [0.346, 0.337, 0.806], [0.478, 0.771, 0.813], [0.482, 0.205, 0.307], [0.903, 0.201, 0.807], [0.911, 0.334, 0.309], [0.000, 0.450, 0.718], [0.141, 0.860, 0.717], [0.143, 0.450, 0.217], [0.227, 0.537, 0.403], [0.228, 0.683, 0.901], [0.240, 0.106, 0.933], [0.246, 0.103, 0.433], [0.574, 0.441, 0.186], [0.577, 0.440, 0.685], [0.589, 0.860, 0.219], [0.592, 0.999, 0.716], [0.677, 0.086, 0.902], [0.680, 0.681, 0.401], [0.824, 0.086, 0.402], [0.824, 0.536, 0.902], [0.997, 0.001, 0.216], [0.008, 0.151, 0.238], [0.015, 0.285, 0.735], [0.093, 0.101, 0.890], [0.098, 0.255, 0.395], [0.121, 0.770, 0.809], [0.122, 0.563, 0.306], [0.144, 0.525, 0.489], [0.146, 0.778, 0.626], [0.153, 0.773, 0.992], [0.158, 0.524, 0.126], [0.165, 0.428, 0.719], [0.165, 0.853, 0.223], [0.237, 0.106, 0.040], [0.238, 0.257, 0.891], [0.240, 0.955, 0.396], [0.245, 0.518, 0.902], [0.248, 0.683, 0.403], [0.250, 0.100, 0.542], [0.285, 0.882, 0.734], [0.293, 0.290, 0.237], [0.387, 0.386, 0.383], [0.387, 0.675, 0.881], [0.396, 0.957, 0.894], [0.399, 0.098, 0.394], [0.421, 0.586, 0.226], [0.424, 0.142, 0.734], [0.431, 0.870, 0.237], [0.433, 0.433, 0.731], [0.528, 0.245, 0.887], [0.529, 0.671, 0.383], [0.570, 0.026, 0.225], [0.573, 0.436, 0.079], [0.575, 0.848, 0.722], [0.576, 0.290, 0.234], [0.581, 0.586, 0.725], [0.587, 0.429, 0.579], [0.655, 0.108, 0.398], [0.659, 0.684, 0.903], [0.663, 0.007, 0.623], [0.668, 0.769, 0.492], [0.669, 0.773, 0.129], [0.678, 0.996, 0.988], [0.702, 0.983, 0.805], [0.703, 0.768, 0.310], [0.724, 0.443, 0.226], [0.727, 0.290, 0.734], [0.811, 0.247, 0.384], [0.816, 0.386, 0.881], [0.826, 0.107, 0.898], [0.827, 0.515, 0.400], [0.905, 0.981, 0.306], [0.906, 0.525, 0.628], [0.910, 0.560, 0.810], [0.914, 0.522, 0.993], [0.914, 0.999, 0.488], [0.919, 0.010, 0.124], [0.993, 0.028, 0.726], [0.996, 0.433, 0.218]]}

***

{"formula": "Li7V3P8O29", "functional": "GGA+U", "state": "optimized geometry", "e_form_ev_per_atom": -2.684, "vol_a3_per_atom": 12.47, "polymorph_energy_ev_per_atom": 0.009, "cell": [[9.842, 0.000, 0.000], [4.898, 8.546, 0.000], [0.034, 0.050, 13.931]], "species": ["Li", "Li", "Li", "Li", "Li", "Li", "Li", "Li", "Li", "Li", "Li", "Li", "Li", "Li", "V", "V", "V", "V", "V", "V", "P", "P", "P", "P", "P", "P", "P", "P", "P", "P", "P", "P", "P", "P", "P", "P", "O", "O", "O", "O", "O", "O", "O", "O", "O", "O", "O", "O", "O", "O", "O", "O", "O", "O", "O", "O", "O", "O", "O", "O", "O", "O", "O", "O", "O", "O", "O", "O", "O", "O", "O", "O", "O", "O", "O", "O", "O", "O", "O", "O", "O", "O", "O", "O", "O", "O", "O", "O", "O", "O", "O", "O", "O", "O"], "frac_coords": [[0.000, 0.000, 0.000], [0.002, 0.577, 0.552], [0.004, 0.578, 0.050], [0.030, 0.120, 0.496], [0.096, 0.229, 0.874], [0.245, 0.213, 0.376], [0.318, 0.848, 0.925], [0.418, 0.592, 0.504], [0.426, 0.136, 0.996], [0.558, 0.994, 0.501], [0.569, 0.563, 0.994], [0.631, 0.683, 0.377], [0.653, 0.812, 0.872], [0.670, 0.234, 0.323], [0.326, 0.473, 0.692], [0.336, 0.337, 0.186], [0.764, 0.469, 0.186], [0.767, 0.904, 0.689], [0.897, 0.337, 0.687], [0.903, 0.900, 0.190], [0.000, 0.563, 0.310], [0.010, 0.135, 0.279], [0.020, 0.988, 0.785], [0.103, 0.223, 0.094], [0.105, 0.814, 0.599], [0.241, 0.226, 0.594], [0.248, 0.679, 0.098], [0.415, 0.134, 0.780], [0.423, 0.579, 0.285], [0.560, 0.586, 0.779], [0.564, 0.993, 0.280], [0.651, 0.814, 0.093], [0.655, 0.672, 0.595], [0.661, 0.243, 0.565], [0.664, 0.236, 0.062], [0.997, 0.565, 0.811], [0.001, 0.154, 0.773], [0.006, 0.413, 0.767], [0.007, 0.545, 0.918], [0.078, 0.239, 0.591], [0.080, 0.823, 0.096], [0.082, 0.156, 0.368], [0.093, 0.137, 0.007], [0.096, 0.912, 0.516], [0.107, 0.918, 0.877], [0.118, 0.124, 0.189], [0.130, 0.886, 0.697], [0.142, 0.571, 0.767], [0.147, 0.419, 0.270], [0.218, 0.391, 0.610], [0.230, 0.532, 0.102], [0.251, 0.237, 0.091], [0.252, 0.648, 0.597], [0.321, 0.694, 0.198], [0.325, 0.137, 0.868], [0.328, 0.117, 0.686], [0.336, 0.148, 0.505], [0.342, 0.647, 0.377], [0.346, 0.686, 0.018], [0.413, 0.150, 0.281], [0.419, 0.563, 0.776], [0.423, 0.285, 0.766], [0.454, 0.412, 0.264], [0.510, 0.391, 0.605], [0.524, 0.225, 0.105], [0.546, 0.690, 0.685], [0.552, 0.681, 0.868], [0.552, 0.900, 0.188], [0.564, 0.906, 0.005], [0.578, 0.988, 0.779], [0.582, 0.650, 0.506], [0.582, 0.898, 0.369], [0.584, 0.573, 0.277], [0.654, 0.254, 0.956], [0.663, 0.824, 0.593], [0.664, 0.093, 0.600], [0.665, 0.651, 0.093], [0.666, 0.387, 0.106], [0.668, 0.249, 0.457], [0.707, 0.018, 0.263], [0.717, 0.433, 0.771], [0.809, 0.247, 0.608], [0.816, 0.796, 0.104], [0.818, 0.085, 0.100], [0.823, 0.532, 0.612], [0.842, 0.277, 0.262], [0.843, 0.711, 0.780], [0.851, 0.561, 0.268], [0.864, 0.992, 0.774], [0.956, 0.388, 0.106], [0.962, 0.788, 0.612], [0.987, 0.718, 0.266], [0.996, 0.559, 0.417], [0.996, 0.988, 0.276]]}

***

{"formula": "Li7V3P8O29", "functional": "GGA+U", "state": "optimized geometry", "e_form_ev_per_atom": -2.689, "vol_a3_per_atom": 12.48, "polymorph_energy_ev_per_atom": 0.004, "cell": [[9.839, 0.000, 0.000], [4.915, 8.564, 0.000], [0.023, 0.109, 13.923]], "species": ["Li", "Li", "Li", "Li", "Li", "Li", "Li", "Li", "Li", "Li", "Li", "Li", "Li", "Li", "V", "V", "V", "V", "V", "V", "P", "P", "P", "P", "P", "P", "P", "P", "P", "P", "P", "P", "P", "P", "P", "P", "O", "O", "O", "O", "O", "O", "O", "O", "O", "O", "O", "O", "O", "O", "O", "O", "O", "O", "O", "O", "O", "O", "O", "O", "O", "O", "O", "O", "O", "O", "O", "O", "O", "O", "O", "O", "O", "O", "O", "O", "O", "O", "O", "O", "O", "O", "O", "O", "O", "O", "O", "O", "O", "O", "O", "O", "O", "O"], "frac_coords": [[0.000, 0.000, 0.000], [0.000, 0.418, 0.055], [0.015, 0.548, 0.552], [0.099, 0.645, 0.180], [0.112, 0.235, 0.675], [0.251, 0.628, 0.674], [0.320, 0.260, 0.129], [0.423, 0.011, 0.551], [0.427, 0.553, 0.058], [0.557, 0.406, 0.552], [0.572, 0.982, 0.054], [0.653, 0.234, 0.179], [0.663, 0.657, 0.729], [0.995, 0.990, 0.499], [0.328, 0.893, 0.361], [0.335, 0.758, 0.868], [0.763, 0.894, 0.862], [0.767, 0.322, 0.362], [0.892, 0.761, 0.364], [0.898, 0.327, 0.864], [0.004, 0.986, 0.741], [0.009, 0.559, 0.771], [0.019, 0.410, 0.271], [0.101, 0.644, 0.959], [0.103, 0.231, 0.457], [0.240, 0.647, 0.456], [0.246, 0.100, 0.955], [0.417, 0.556, 0.271], [0.423, 0.002, 0.769], [0.558, 0.013, 0.272], [0.562, 0.418, 0.771], [0.648, 0.097, 0.456], [0.650, 0.233, 0.956], [0.658, 0.659, 0.487], [0.665, 0.661, 0.990], [0.997, 0.989, 0.240], [0.004, 0.407, 0.770], [0.004, 0.834, 0.279], [0.007, 0.986, 0.133], [0.010, 0.966, 0.635], [0.078, 0.658, 0.457], [0.081, 0.243, 0.959], [0.083, 0.581, 0.682], [0.086, 0.326, 0.545], [0.097, 0.554, 0.046], [0.110, 0.333, 0.181], [0.115, 0.547, 0.863], [0.123, 0.320, 0.365], [0.143, 0.991, 0.287], [0.154, 0.844, 0.788], [0.215, 0.813, 0.440], [0.233, 0.949, 0.949], [0.250, 0.660, 0.960], [0.255, 0.070, 0.458], [0.318, 0.115, 0.854], [0.324, 0.560, 0.184], [0.331, 0.538, 0.366], [0.333, 0.071, 0.678], [0.334, 0.570, 0.546], [0.349, 0.101, 0.034], [0.408, 0.578, 0.777], [0.417, 0.990, 0.279], [0.423, 0.707, 0.284], [0.446, 0.835, 0.789], [0.509, 0.808, 0.444], [0.516, 0.657, 0.947], [0.550, 0.323, 0.863], [0.551, 0.122, 0.357], [0.553, 0.098, 0.179], [0.563, 0.081, 0.538], [0.565, 0.325, 0.045], [0.573, 0.334, 0.681], [0.579, 0.408, 0.269], [0.584, 0.989, 0.775], [0.648, 0.678, 0.096], [0.651, 0.665, 0.595], [0.661, 0.512, 0.449], [0.662, 0.071, 0.956], [0.664, 0.811, 0.945], [0.666, 0.242, 0.460], [0.700, 0.448, 0.790], [0.714, 0.856, 0.283], [0.807, 0.667, 0.450], [0.816, 0.210, 0.945], [0.816, 0.514, 0.956], [0.816, 0.951, 0.439], [0.841, 0.698, 0.788], [0.843, 0.130, 0.275], [0.861, 0.417, 0.280], [0.862, 0.976, 0.788], [0.953, 0.808, 0.948], [0.964, 0.201, 0.443], [0.997, 0.139, 0.773], [0.999, 0.576, 0.279]]}

***

{"formula": "Li5V3P8O29", "functional": "GGA+U", "state": "optimized geometry", "e_form_ev_per_atom": -2.615, "vol_a3_per_atom": 13.05, "polymorph_energy_ev_per_atom": 0.006, "cell": [[9.796, 0.000, 0.000], [4.884, 8.494, 0.000], [0.127, -0.036, 14.113]], "species": ["Li", "Li", "Li", "Li", "Li", "Li", "Li", "Li", "Li", "Li", "V", "V", "V", "V", "V", "V", "P", "P", "P", "P", "P", "P", "P", "P", "P", "P", "P", "P", "P", "P", "P", "P", "O", "O", "O", "O", "O", "O", "O", "O", "O", "O", "O", "O", "O", "O", "O", "O", "O", "O", "O", "O", "O", "O", "O", "O", "O", "O", "O", "O", "O", "O", "O", "O", "O", "O", "O", "O", "O", "O", "O", "O", "O", "O", "O", "O", "O", "O", "O", "O", "O", "O", "O", "O", "O", "O", "O", "O", "O", "O"], "frac_coords": [[0.000, 0.000, 0.000], [0.001, 0.862, 0.497], [0.086, 0.668, 0.884], [0.092, 0.091, 0.383], [0.225, 0.540, 0.373], [0.349, 0.788, 0.941], [0.549, 0.452, 0.495], [0.634, 0.685, 0.372], [0.641, 0.106, 0.831], [0.650, 0.539, 0.880], [0.314, 0.201, 0.689], [0.321, 0.334, 0.182], [0.747, 0.776, 0.187], [0.750, 0.339, 0.690], [0.886, 0.205, 0.186], [0.887, 0.767, 0.685], [0.087, 0.088, 0.601], [0.091, 0.683, 0.098], [0.237, 0.536, 0.593], [0.238, 0.075, 0.093], [0.400, 0.004, 0.279], [0.403, 0.462, 0.778], [0.540, 0.859, 0.775], [0.548, 0.451, 0.277], [0.635, 0.545, 0.096], [0.638, 0.683, 0.591], [0.650, 0.107, 0.569], [0.656, 0.104, 0.067], [0.982, 0.439, 0.307], [0.986, 0.439, 0.811], [0.997, 0.996, 0.782], [0.998, 0.861, 0.279], [0.062, 0.108, 0.104], [0.071, 0.685, 0.597], [0.077, 0.774, 0.369], [0.079, 0.011, 0.511], [0.079, 0.991, 0.871], [0.098, 0.767, 0.009], [0.106, 0.979, 0.690], [0.110, 0.775, 0.189], [0.129, 0.442, 0.268], [0.133, 0.290, 0.762], [0.226, 0.387, 0.617], [0.234, 0.109, 0.605], [0.234, 0.515, 0.104], [0.238, 0.231, 0.101], [0.307, 0.013, 0.364], [0.307, 0.975, 0.008], [0.308, 0.566, 0.858], [0.320, 0.523, 0.501], [0.321, 0.974, 0.187], [0.335, 0.553, 0.679], [0.398, 0.030, 0.774], [0.401, 0.433, 0.278], [0.409, 0.155, 0.258], [0.414, 0.298, 0.771], [0.503, 0.110, 0.620], [0.515, 0.256, 0.107], [0.521, 0.785, 0.677], [0.526, 0.561, 0.187], [0.527, 0.765, 0.855], [0.555, 0.553, 0.005], [0.564, 0.525, 0.366], [0.569, 0.859, 0.278], [0.575, 0.433, 0.780], [0.576, 0.758, 0.499], [0.642, 0.114, 0.464], [0.648, 0.260, 0.609], [0.649, 0.962, 0.109], [0.652, 0.519, 0.601], [0.665, 0.683, 0.106], [0.676, 0.098, 0.961], [0.691, 0.871, 0.769], [0.699, 0.290, 0.257], [0.791, 0.386, 0.110], [0.798, 0.672, 0.617], [0.803, 0.957, 0.605], [0.813, 0.097, 0.108], [0.828, 0.588, 0.273], [0.833, 0.143, 0.767], [0.833, 0.442, 0.774], [0.839, 0.870, 0.263], [0.937, 0.249, 0.618], [0.938, 0.680, 0.110], [0.977, 0.848, 0.774], [0.979, 0.029, 0.279], [0.982, 0.289, 0.259], [0.984, 0.418, 0.412], [0.994, 0.583, 0.770], [0.996, 0.434, 0.916]]}

***

{"formula": "Li2VP2O8", "functional": "GGA+U", "state": "optimized geometry", "e_ij_max_c_m2": 1.502, "e_form_ev_per_atom": -2.648, "vol_a3_per_atom": 11.14, "polymorph_energy_ev_per_atom": 0.010, "cell": [[4.520, -2.312, 0.000], [4.520, 2.312, 0.000], [-1.609, 0.000, 13.862]], "species": ["Li", "Li", "Li", "Li", "V", "V", "P", "P", "P", "P", "O", "O", "O", "O", "O", "O", "O", "O", "O", "O", "O", "O", "O", "O", "O", "O"], "frac_coords": [[0.036, 0.964, 0.500], [0.617, 0.738, 0.901], [0.738, 0.617, 0.401], [0.964, 0.036, 0.000], [0.658, 0.665, 0.168], [0.665, 0.658, 0.668], [0.024, 0.980, 0.280], [0.310, 0.338, 0.050], [0.338, 0.310, 0.550], [0.980, 0.024, 0.780], [0.082, 0.457, 0.631], [0.154, 0.890, 0.877], [0.158, 0.513, 0.463], [0.233, 0.874, 0.699], [0.324, 0.631, 0.085], [0.401, 0.810, 0.283], [0.457, 0.082, 0.131], [0.468, 0.943, 0.538], [0.513, 0.158, 0.963], [0.631, 0.324, 0.585], [0.719, 0.962, 0.750], [0.810, 0.401, 0.783], [0.874, 0.233, 0.199], [0.890, 0.154, 0.377], [0.943, 0.468, 0.038], [0.962, 0.719, 0.250]]}